[1]
A geometry-optimized MgCd5 structure, computed with PBE-GGA.

```
data_MgCd5
_chemical_formula_sum 'Mg1 Cd5'
_symmetry_space_group_name_H-M 'P 1'
_symmetry_Int_Tables_number 1
_symmetry_space_group_name_Hall 'P 1'
_cell_length_a 6.107
_cell_length_b 6.107
_cell_length_c 7.372
_cell_angle_alpha 74.63
_cell_angle_beta 74.63
_cell_angle_gamma 30.34
loop_
_atom_site_label
_atom_site_type_symbol
_atom_site_fract_x
_atom_site_fract_y
_atom_site_fract_z
_atom_site_occupancy
Mg1 Mg 0.612 0.612 0.276 1
Cd1 Cd 0.667 0.667 0.663 1
Cd2 Cd 0.332 0.332 0.333 1
Cd3 Cd 0.276 0.276 0.948 1
Cd4 Cd 0.001 0.001 0.004 1
Cd5 Cd 0.946 0.946 0.609 1
```


[2]
A geometry-optimized Li2B3H14N structure, computed with PBE-GGA.

```
data_Li2B3H14N
_chemical_formula_sum 'Li8 B12 H56 N4'
_symmetry_space_group_name_H-M 'P 1'
_symmetry_Int_Tables_number 1
_symmetry_space_group_name_Hall 'P 1'
_cell_length_a 6.483
_cell_length_b 8.257
_cell_length_c 12.460
_cell_angle_alpha 90.00
_cell_angle_beta 90.00
_cell_angle_gamma 90.00
loop_
_atom_site_label
_atom_site_type_symbol
_atom_site_fract_x
_atom_site_fract_y
_atom_site_fract_z
_atom_site_occupancy
H1 H 0.471 0.898 0.420 1
Li1 Li 0.968 0.333 0.923 1
H2 H 0.727 0.664 0.011 1
B1 B 0.782 0.600 0.927 1
H3 H 0.069 0.400 0.750 1
H4 H 0.785 0.961 0.574 1
H5 H 0.529 0.102 0.580 1
H6 H 0.169 0.201 0.670 1
Li2 Li 0.032 0.667 0.423 1
H7 H 0.023 0.239 0.250 1
B2 B 0.282 0.900 0.073 1
H8 H 0.285 0.539 0.426 1
H9 H 0.552 0.576 0.316 1
B3 B 0.718 0.100 0.573 1
N1 N 0.583 0.646 0.250 1
H10 H 0.471 0.898 0.080 1
H11 H 0.029 0.398 0.080 1
H12 H 0.029 0.398 0.420 1
H13 H 0.669 0.299 0.330 1
H14 H 0.477 0.739 0.250 1
H15 H 0.713 0.672 0.849 1
H16 H 0.931 0.600 0.250 1
H17 H 0.787 0.172 0.651 1
H18 H 0.971 0.602 0.920 1
H19 H 0.287 0.328 0.349 1
B4 B 0.218 0.400 0.073 1
H20 H 0.227 0.836 0.511 1
H21 H 0.213 0.828 0.349 1
H22 H 0.971 0.602 0.580 1
N2 N 0.417 0.354 0.750 1
Li3 Li 0.532 0.833 0.577 1
H23 H 0.727 0.664 0.489 1
H24 H 0.773 0.164 0.011 1
B5 B 0.218 0.400 0.427 1
Li4 Li 0.968 0.333 0.577 1
H25 H 0.715 0.461 0.574 1
H26 H 0.215 0.039 0.074 1
H27 H 0.715 0.461 0.926 1
H28 H 0.523 0.261 0.750 1
B6 B 0.782 0.600 0.573 1
H29 H 0.273 0.336 0.511 1
B7 B 0.718 0.100 0.927 1
Li5 Li 0.032 0.667 0.077 1
N3 N 0.083 0.854 0.750 1
H30 H 0.431 0.900 0.750 1
Li6 Li 0.532 0.833 0.923 1
H31 H 0.215 0.039 0.426 1
H32 H 0.331 0.701 0.830 1
H33 H 0.052 0.924 0.684 1
H34 H 0.052 0.924 0.816 1
H35 H 0.529 0.102 0.920 1
H36 H 0.773 0.164 0.489 1
H37 H 0.273 0.336 0.989 1
H38 H 0.552 0.576 0.184 1
H39 H 0.287 0.328 0.151 1
H40 H 0.331 0.701 0.670 1
H41 H 0.285 0.539 0.074 1
H42 H 0.569 0.100 0.250 1
H43 H 0.213 0.828 0.151 1
H44 H 0.169 0.201 0.830 1
H45 H 0.448 0.424 0.816 1
N4 N 0.917 0.146 0.250 1
Li7 Li 0.468 0.167 0.077 1
H46 H 0.448 0.424 0.684 1
H47 H 0.785 0.961 0.926 1
Li8 Li 0.468 0.167 0.423 1
B8 B 0.282 0.900 0.427 1
B9 B 0.188 0.285 0.750 1
H48 H 0.713 0.672 0.651 1
B10 B 0.812 0.715 0.250 1
H49 H 0.977 0.761 0.750 1
H50 H 0.831 0.799 0.330 1
H51 H 0.787 0.172 0.849 1
H52 H 0.948 0.076 0.184 1
H53 H 0.227 0.836 0.989 1
H54 H 0.831 0.799 0.170 1
H55 H 0.948 0.076 0.316 1
H56 H 0.669 0.299 0.170 1
B11 B 0.312 0.785 0.750 1
B12 B 0.688 0.215 0.250 1
```


[3]
A geometry-optimized Sc9Ni5Ge8 structure, computed with PBE-GGA.

```
data_Sc9Ni5Ge8
_chemical_formula_sum 'Sc9 Ni5 Ge8'
_symmetry_space_group_name_H-M 'P 1'
_symmetry_Int_Tables_number 1
_symmetry_space_group_name_Hall 'P 1'
_cell_length_a 11.599
_cell_length_b 11.599
_cell_length_c 11.599
_cell_angle_alpha 160.53
_cell_angle_beta 133.95
_cell_angle_gamma 50.44
loop_
_atom_site_label
_atom_site_type_symbol
_atom_site_fract_x
_atom_site_fract_y
_atom_site_fract_z
_atom_site_occupancy
Sc1 Sc 0.391 0.585 0.805 1
Ni1 Ni 0.000 0.500 0.500 1
Ge1 Ge 0.366 0.866 0.500 1
Sc2 Sc 0.728 0.728 0.000 1
Ge2 Ge 0.634 0.134 0.500 1
Ni2 Ni 0.529 0.804 0.725 1
Ge3 Ge 0.813 0.000 0.813 1
Ni3 Ni 0.921 0.196 0.725 1
Sc3 Sc 0.609 0.415 0.195 1
Sc4 Sc 0.220 0.415 0.805 1
Sc5 Sc 0.892 0.892 0.000 1
Ni4 Ni 0.079 0.804 0.275 1
Sc6 Sc 0.500 0.000 0.500 1
Ge4 Ge 0.946 0.309 0.638 1
Ge5 Ge 0.671 0.309 0.362 1
Ge6 Ge 0.329 0.691 0.638 1
Ge7 Ge 0.187 0.000 0.187 1
Sc7 Sc 0.780 0.585 0.195 1
Sc8 Sc 0.272 0.272 0.000 1
Ni5 Ni 0.471 0.196 0.275 1
Ge8 Ge 0.054 0.691 0.362 1
Sc9 Sc 0.108 0.108 0.000 1
```


[4]
# PBE-GGA Li3Tc, optimized geometry
data_Li3Tc
_chemical_formula_sum 'Li3 Tc1'
_symmetry_space_group_name_H-M 'P 1'
_symmetry_Int_Tables_number 1
_symmetry_space_group_name_Hall 'P 1'
_cell_length_a 4.930
_cell_length_b 4.930
_cell_length_c 4.930
_cell_angle_alpha 135.28
_cell_angle_beta 135.28
_cell_angle_gamma 65.09
loop_
_atom_site_label
_atom_site_type_symbol
_atom_site_fract_x
_atom_site_fract_y
_atom_site_fract_z
_atom_site_occupancy
Li1 Li 0.500 0.500 0.000 1
Tc1 Tc 0.000 0.000 0.000 1
Li2 Li 0.750 0.250 0.500 1
Li3 Li 0.250 0.750 0.500 1
# Excess energy over the best structure of this formula in the dataset, meV per atom: 10


[5]
A geometry-optimized Nb2S4Cl9O5 structure, computed with PBE-GGA.

```
data_Nb2S4Cl9O5
_chemical_formula_sum 'Nb2 S4 Cl9 O5'
_symmetry_space_group_name_H-M 'P 1'
_symmetry_Int_Tables_number 1
_symmetry_space_group_name_Hall 'P 1'
_cell_length_a 7.639
_cell_length_b 7.582
_cell_length_c 10.230
_cell_angle_alpha 111.75
_cell_angle_beta 111.92
_cell_angle_gamma 90.00
loop_
_atom_site_label
_atom_site_type_symbol
_atom_site_fract_x
_atom_site_fract_y
_atom_site_fract_z
_atom_site_occupancy
S1 S 0.824 0.868 0.000 1
S2 S 0.824 0.132 0.000 1
Cl1 Cl 0.457 0.175 0.350 1
Cl2 Cl 0.106 0.825 0.650 1
S3 S 0.176 0.132 0.000 1
Cl3 Cl 0.162 0.456 0.325 1
Cl4 Cl 0.838 0.544 0.675 1
O1 O 0.617 0.817 0.234 1
Cl5 Cl 0.162 0.869 0.325 1
Nb1 Nb 0.119 0.119 0.237 1
Cl6 Cl 0.500 0.500 0.000 1
S4 S 0.176 0.868 0.000 1
Nb2 Nb 0.881 0.881 0.763 1
O2 O 0.383 0.583 0.766 1
Cl7 Cl 0.543 0.825 0.650 1
O3 O 0.617 0.417 0.234 1
O4 O 0.383 0.183 0.766 1
O5 O 0.000 0.500 0.000 1
Cl8 Cl 0.838 0.131 0.675 1
Cl9 Cl 0.894 0.175 0.350 1
```


[6]
A geometry-optimized In4CN4 structure, computed with PBE-GGA.

```
data_In4CN4
_chemical_formula_sum 'In16 C4 N16'
_symmetry_space_group_name_H-M 'P 1'
_symmetry_Int_Tables_number 1
_symmetry_space_group_name_Hall 'P 1'
_cell_length_a 10.936
_cell_length_b 3.581
_cell_length_c 18.536
_cell_angle_alpha 90.00
_cell_angle_beta 90.00
_cell_angle_gamma 90.00
loop_
_atom_site_label
_atom_site_type_symbol
_atom_site_fract_x
_atom_site_fract_y
_atom_site_fract_z
_atom_site_occupancy
C1 C 0.869 0.250 0.393 1
N1 N 0.755 0.250 0.395 1
In1 In 0.863 0.750 0.792 1
C2 C 0.369 0.250 0.107 1
In2 In 0.124 0.750 0.417 1
N2 N 0.953 0.250 0.830 1
N3 N 0.019 0.750 0.608 1
N4 N 0.981 0.250 0.392 1
N5 N 0.547 0.750 0.330 1
In3 In 0.141 0.250 0.808 1
In4 In 0.363 0.750 0.708 1
In5 In 0.359 0.750 0.308 1
N6 N 0.745 0.750 0.895 1
In6 In 0.137 0.250 0.208 1
In7 In 0.637 0.250 0.292 1
In8 In 0.876 0.250 0.583 1
In9 In 0.881 0.250 0.953 1
N7 N 0.047 0.750 0.170 1
C3 C 0.631 0.750 0.893 1
N8 N 0.255 0.250 0.105 1
In10 In 0.381 0.250 0.547 1
In11 In 0.376 0.250 0.917 1
N9 N 0.243 0.750 0.798 1
N10 N 0.257 0.250 0.298 1
N11 N 0.481 0.250 0.108 1
C4 C 0.131 0.750 0.607 1
In12 In 0.619 0.750 0.453 1
N12 N 0.743 0.750 0.702 1
N13 N 0.453 0.250 0.670 1
In13 In 0.119 0.750 0.047 1
In14 In 0.859 0.750 0.192 1
N14 N 0.245 0.750 0.605 1
In15 In 0.624 0.750 0.083 1
N15 N 0.519 0.750 0.892 1
In16 In 0.641 0.250 0.692 1
N16 N 0.757 0.250 0.202 1
```


no.,DFT formation energy (eV per formula unit),calculated volume (A^3/atom),density (g cm⁻³)
1,-0.05,22.26,7.3
2,-6.54,8.34,0.7
3,-16.84,16.98,5.7
4,2.50,14.61,3.4
5,-2.42,25.20,2.4
6,1.00,20.16,4.8